Compound: LiMg7
Source: the Materials Project database
Functional: meta-GGA r2SCAN
Structure: relaxed

## Properties
The formation energy comes out at -5 meV/atom.

a b c (Å): 6.306 6.306 5.109
angles (deg): 90.00 90.00 120.00
Fractional coordinates of all 8 atoms:
Li  0.000  0.000  0.000
Mg  0.000  0.500  0.000
Mg  0.165  0.331  0.500
Mg  0.165  0.835  0.500
Mg  0.500  0.000  0.000
Mg  0.500  0.500  0.000
Mg  0.667  0.333  0.500
Mg  0.669  0.835  0.500